First-principles (PBE+U) data for an optimized crystal structure of Mn6O7F5, as listed in the Materials Project.

Energy of formation from the pure elements: -2.2009 eV per atom
Energy above the most stable polymorph in this dataset: 41.1 meV/atom

Cell and atoms, written as CIF:
```
data_Mn6O7F5
_symmetry_space_group_name_H-M 'P 1'
_symmetry_Int_Tables_number 1
_cell_length_a 4.6515
_cell_length_b 5.6753
_cell_length_c 15.2897
_cell_angle_alpha 88.84
_cell_angle_beta 89.16
_cell_angle_gamma 87.06
loop_
_symmetry_equiv_pos_as_xyz
'x,y,z'
loop_
_atom_site_label
_atom_site_fract_x
_atom_site_fract_y
_atom_site_fract_z
Mn1 0.0000 0.0000 0.0000
Mn2 0.0004 0.2888 0.1750
Mn3 0.0016 0.3142 0.5075
Mn4 0.4419 0.7834 0.8309
Mn5 0.4469 0.7915 0.1663
Mn6 0.4528 0.4684 0.3313
Mn7 0.4631 0.4782 0.6740
Mn8 0.4654 0.4681 0.0064
Mn9 0.4645 0.7728 0.4979
Mn10 0.9530 0.2903 0.8367
Mn11 0.9814 0.0039 0.6718
Mn12 0.9932 0.9979 0.3373
O1 0.1872 0.2525 0.7290
O2 0.1956 0.0244 0.8882
O3 0.2022 0.0233 0.2277
O4 0.2019 0.2493 0.3965
O5 0.2070 0.2487 0.0650
O6 0.2325 0.7545 0.7235
O7 0.2424 0.7426 0.3906
O8 0.2509 0.7502 0.0579
O9 0.2530 0.5189 0.2240
O10 0.2693 0.5287 0.5608
O11 0.6741 0.5190 0.7798
O12 0.7438 0.2437 0.9481
O13 0.7530 0.2492 0.2792
O14 0.7547 0.2596 0.6129
F1 0.2132 0.5271 0.8959
F2 0.2235 0.0279 0.5604
F3 0.6881 0.7409 0.9418
F4 0.7003 0.7582 0.2754
F5 0.7071 0.4982 0.4356
F6 0.7174 0.0160 0.7775
F7 0.7186 0.7641 0.6061
F8 0.7320 0.5237 0.1175
F9 0.7420 0.0014 0.4472
F10 0.7454 0.0164 0.1111
```

=====

First-principles (PBE+U) data for an optimized crystal structure of Mn8O13F3, as listed in the Materials Project.

Energy of formation from the pure elements: -1.9489 eV per atom
Energy above the most stable polymorph in this dataset: 25.5 meV/atom

Cell and atoms, written as CIF:
```
data_Mn8O13F3
_symmetry_space_group_name_H-M 'P 1'
_symmetry_Int_Tables_number 1
_cell_length_a 4.5094
_cell_length_b 7.4538
_cell_length_c 7.4682
_cell_angle_alpha 83.95
_cell_angle_beta 88.18
_cell_angle_gamma 88.61
loop_
_symmetry_equiv_pos_as_xyz
'x,y,z'
loop_
_atom_site_label
_atom_site_fract_x
_atom_site_fract_y
_atom_site_fract_z
Mn1 0.0000 0.0000 0.0000
Mn2 0.0009 0.9010 0.3962
Mn3 0.0170 0.4935 0.5059
Mn4 0.4918 0.6556 0.1429
Mn5 0.5073 0.7580 0.7380
Mn6 0.5138 0.1533 0.6542
Mn7 0.5161 0.2619 0.2398
Mn8 0.9861 0.3875 0.8925
O1 0.2195 0.8518 0.1763
O2 0.2279 0.2148 0.0384
O3 0.2336 0.3527 0.6820
O4 0.2354 0.7142 0.5397
O5 0.2638 0.9681 0.7854
O6 0.2657 0.4661 0.2897
O7 0.7256 0.7963 0.9556
O8 0.7284 0.9334 0.5973
O9 0.7286 0.4359 0.0929
O10 0.7416 0.2937 0.4624
O11 0.7594 0.0447 0.2114
O12 0.7639 0.5400 0.7106
O13 0.7730 0.1808 0.8569
F1 0.2488 0.6007 0.9113
F2 0.2782 0.1147 0.4207
F3 0.7687 0.6640 0.3587
```

=====

First-principles (PBE+U) data for an optimized crystal structure of Mn3O4F2, as listed in the Materials Project.

Energy of formation from the pure elements: -2.1245 eV per atom
Energy above the most stable polymorph in this dataset: 22.9 meV/atom

Cell and atoms, written as CIF:
```
data_Mn3O4F2
_symmetry_space_group_name_H-M 'C 1 2 1'
_symmetry_Int_Tables_number 5
_cell_length_a 6.5011
_cell_length_b 6.5004
_cell_length_c 9.2491
_cell_angle_alpha 90.00
_cell_angle_beta 90.44
_cell_angle_gamma 90.00
loop_
_symmetry_equiv_pos_as_xyz
'x,y,z'
'-x,y,-z'
'x+1/2,y+1/2,z'
'-x+1/2,y+1/2,-z'
loop_
_atom_site_label
_atom_site_fract_x
_atom_site_fract_y
_atom_site_fract_z
Mn1 0.0000 0.0000 0.0000
Mn2 0.0000 0.4999 0.5000
Mn3 0.0054 0.0297 0.3397
Mn4 0.0248 0.4982 0.8405
O1 0.0000 0.3054 0.0000
O2 0.0000 0.6938 0.0000
O3 0.0074 0.3204 0.6722
O4 0.1824 0.0107 0.1705
O5 0.1933 0.0195 0.5001
F1 0.0060 0.7163 0.6699
F2 0.2115 0.0125 0.8190
```

=====

First-principles (PBE+U) data for an optimized crystal structure of Mn12O5F19, as listed in the Materials Project.

Energy of formation from the pure elements: -2.6565 eV per atom
Energy above the most stable polymorph in this dataset: 5.5 meV/atom

Cell and atoms, written as CIF:
```
data_Mn12O5F19
_symmetry_space_group_name_H-M 'P 1'
_symmetry_Int_Tables_number 1
_cell_length_a 4.8514
_cell_length_b 5.8639
_cell_length_c 15.9957
_cell_angle_alpha 90.23
_cell_angle_beta 90.10
_cell_angle_gamma 91.74
loop_
_symmetry_equiv_pos_as_xyz
'x,y,z'
loop_
_atom_site_label
_atom_site_fract_x
_atom_site_fract_y
_atom_site_fract_z
Mn1 0.0000 0.0000 0.0000
Mn2 0.0004 0.0167 0.3387
Mn3 0.0060 0.7053 0.4985
Mn4 0.0137 0.0225 0.6653
Mn5 0.4647 0.1841 0.5025
Mn6 0.4794 0.5311 0.9880
Mn7 0.4919 0.4990 0.6631
Mn8 0.4995 0.5047 0.3262
Mn9 0.4997 0.2013 0.8347
Mn10 0.5136 0.1995 0.1640
Mn11 0.9825 0.6743 0.1694
Mn12 0.9836 0.6823 0.8403
O1 0.1984 0.7304 0.9427
O2 0.2085 0.9788 0.4487
O3 0.2764 0.2399 0.6039
O4 0.6997 0.4828 0.8878
O5 0.7031 0.4597 0.2273
F1 0.2200 0.9505 0.7819
F2 0.2240 0.7360 0.6122
F3 0.2273 0.7406 0.2786
F4 0.2270 0.9673 0.1154
F5 0.2478 0.4518 0.7731
F6 0.2536 0.2346 0.9418
F7 0.2548 0.2443 0.2740
F8 0.2653 0.4795 0.4316
F9 0.2686 0.4699 0.0998
F10 0.6911 0.2262 0.3948
F11 0.7244 0.4567 0.5465
F12 0.7246 0.2447 0.0512
F13 0.7281 0.2390 0.7221
F14 0.7479 0.7461 0.0604
F15 0.7525 0.9502 0.5593
F16 0.7555 0.9697 0.8905
F17 0.7605 0.7274 0.3864
F18 0.7678 0.9666 0.2271
F19 0.7721 0.7293 0.7258
```

=====

First-principles (PBE+U) data for an optimized crystal structure of Mn12O5F19, as listed in the Materials Project.

Energy of formation from the pure elements: -2.6561 eV per atom
Energy above the most stable polymorph in this dataset: 6.0 meV/atom

Cell and atoms, written as CIF:
```
data_Mn12O5F19
_symmetry_space_group_name_H-M 'P 1'
_symmetry_Int_Tables_number 1
_cell_length_a 4.8735
_cell_length_b 5.8632
_cell_length_c 15.9048
_cell_angle_alpha 89.26
_cell_angle_beta 89.51
_cell_angle_gamma 89.37
loop_
_symmetry_equiv_pos_as_xyz
'x,y,z'
loop_
_atom_site_label
_atom_site_fract_x
_atom_site_fract_y
_atom_site_fract_z
Mn1 0.0000 0.0000 0.0000
Mn2 0.0014 0.0195 0.6729
Mn3 0.0151 0.6833 0.1670
Mn4 0.0409 0.6792 0.8403
Mn5 0.4685 0.5225 0.0067
Mn6 0.4876 0.2097 0.1698
Mn7 0.4951 0.2154 0.8356
Mn8 0.5015 0.5263 0.6708
Mn9 0.5039 0.2144 0.5074
Mn10 0.5217 0.5406 0.3426
Mn11 0.9598 0.6886 0.5055
Mn12 0.9931 0.0029 0.3416
O1 0.2161 0.7278 0.9489
O2 0.2810 0.4722 0.1110
O3 0.2987 0.4783 0.7806
O4 0.7029 0.4847 0.5620
O5 0.7836 0.7515 0.3994
F1 0.2062 0.7322 0.6112
F2 0.2252 0.9688 0.4577
F3 0.2255 0.9733 0.1149
F4 0.2376 0.7509 0.2797
F5 0.2469 0.9702 0.7798
F6 0.2588 0.4690 0.4466
F7 0.2633 0.2348 0.9442
F8 0.2650 0.2419 0.2868
F9 0.2694 0.2517 0.6189
F10 0.7151 0.4823 0.9029
F11 0.7234 0.2501 0.0530
F12 0.7334 0.2477 0.3937
F13 0.7334 0.2530 0.7280
F14 0.7379 0.4635 0.2285
F15 0.7525 0.9748 0.5676
F16 0.7573 0.7511 0.0625
F17 0.7669 0.9661 0.2247
F18 0.7729 0.9754 0.8846
F19 0.7925 0.7303 0.7336
```

=====

First-principles (PBE+U) data for an optimized crystal structure of Mn12O5F19, as listed in the Materials Project.

Energy of formation from the pure elements: -2.6545 eV per atom
Energy above the most stable polymorph in this dataset: 7.6 meV/atom

Cell and atoms, written as CIF:
```
data_Mn12O5F19
_symmetry_space_group_name_H-M 'P 1'
_symmetry_Int_Tables_number 1
_cell_length_a 4.8805
_cell_length_b 5.8632
_cell_length_c 15.9531
_cell_angle_alpha 89.39
_cell_angle_beta 89.74
_cell_angle_gamma 87.35
loop_
_symmetry_equiv_pos_as_xyz
'x,y,z'
loop_
_atom_site_label
_atom_site_fract_x
_atom_site_fract_y
_atom_site_fract_z
Mn1 0.0000 0.0000 0.0000
Mn2 0.9999 0.0200 0.6632
Mn3 0.0046 0.9896 0.3201
Mn4 0.0139 0.3179 0.1562
Mn5 0.4656 0.8296 0.1598
Mn6 0.4793 0.5219 0.3255
Mn7 0.4836 0.5056 0.6587
Mn8 0.4853 0.8328 0.8216
Mn9 0.5101 0.5082 0.9802
Mn10 0.5377 0.8671 0.5002
Mn11 0.9831 0.3205 0.8275
Mn12 0.9864 0.3140 0.4922
O1 0.1974 0.0579 0.7706
O2 0.2115 0.0422 0.1071
O3 0.2777 0.7777 0.2631
O4 0.7143 0.5512 0.8753
O5 0.8023 0.0695 0.5575
F1 0.2169 0.2785 0.9351
F2 0.2215 0.2868 0.2708
F3 0.2348 0.0535 0.4322
F4 0.2349 0.2769 0.6025
F5 0.2407 0.5581 0.7691
F6 0.2521 0.5438 0.4400
F7 0.2628 0.7798 0.9339
F8 0.2632 0.7892 0.6042
F9 0.2707 0.5383 0.0887
F10 0.6976 0.7917 0.0533
F11 0.7163 0.7883 0.7119
F12 0.7286 0.5602 0.2061
F13 0.7301 0.5608 0.5486
F14 0.7303 0.7720 0.3829
F15 0.7544 0.0513 0.8895
F16 0.7553 0.2735 0.3778
F17 0.7556 0.0654 0.2148
F18 0.7578 0.2810 0.7193
F19 0.7654 0.2914 0.0463
```

=====

First-principles (PBE+U) data for an optimized crystal structure of Mn6OF11, as listed in the Materials Project.

Energy of formation from the pure elements: -2.8298 eV per atom
Energy above the most stable polymorph in this dataset: 20.3 meV/atom

Cell and atoms, written as CIF:
```
data_Mn6OF11
_symmetry_space_group_name_H-M 'P 1'
_symmetry_Int_Tables_number 1
_cell_length_a 4.9584
_cell_length_b 5.9116
_cell_length_c 16.2165
_cell_angle_alpha 90.60
_cell_angle_beta 90.02
_cell_angle_gamma 90.05
loop_
_symmetry_equiv_pos_as_xyz
'x,y,z'
loop_
_atom_site_label
_atom_site_fract_x
_atom_site_fract_y
_atom_site_fract_z
Mn1 0.0000 0.0000 0.0000
Mn2 0.0003 0.3087 0.4938
Mn3 0.0222 0.3551 0.1605
Mn4 0.4647 0.8574 0.4913
Mn5 0.4796 0.5012 0.0048
Mn6 0.4874 0.4985 0.3320
Mn7 0.4903 0.8128 0.1643
Mn8 0.4944 0.8300 0.8320
Mn9 0.5059 0.4995 0.6593
Mn10 0.9932 0.3384 0.8330
Mn11 0.9958 0.0024 0.3321
Mn12 0.9966 0.9978 0.6647
O1 0.1943 0.0769 0.4432
O2 0.2884 0.5813 0.1147
F1 0.2117 0.2794 0.2739
F2 0.2156 0.2791 0.6039
F3 0.2245 0.0595 0.7743
F4 0.2269 0.2719 0.9422
F5 0.2403 0.0617 0.1110
F6 0.2528 0.5573 0.4429
F7 0.2581 0.7716 0.9398
F8 0.2682 0.5561 0.7714
F9 0.2729 0.7811 0.2740
F10 0.2808 0.7784 0.6068
F11 0.7061 0.7832 0.3869
F12 0.7153 0.5555 0.8937
F13 0.7237 0.7895 0.0595
F14 0.7282 0.5529 0.2240
F15 0.7290 0.7694 0.7208
F16 0.7467 0.5366 0.5467
F17 0.7522 0.0329 0.2197
F18 0.7572 0.0586 0.5554
F19 0.7596 0.2835 0.3899
F20 0.7659 0.2748 0.7209
F21 0.7697 0.0564 0.8885
F22 0.7841 0.2853 0.0556
```

=====

First-principles (PBE+U) data for an optimized crystal structure of Mn6O7F5, as listed in the Materials Project.

Energy of formation from the pure elements: -2.2015 eV per atom
Energy above the most stable polymorph in this dataset: 40.6 meV/atom

Cell and atoms, written as CIF:
```
data_Mn6O7F5
_symmetry_space_group_name_H-M 'P 1'
_symmetry_Int_Tables_number 1
_cell_length_a 4.6245
_cell_length_b 5.6681
_cell_length_c 15.3172
_cell_angle_alpha 89.91
_cell_angle_beta 89.32
_cell_angle_gamma 89.50
loop_
_symmetry_equiv_pos_as_xyz
'x,y,z'
loop_
_atom_site_label
_atom_site_fract_x
_atom_site_fract_y
_atom_site_fract_z
Mn1 0.0000 0.0000 0.0000
Mn2 0.9999 0.0034 0.6663
Mn3 0.0054 0.6930 0.8324
Mn4 0.0214 0.6896 0.5023
Mn5 0.4631 0.4729 0.6709
Mn6 0.4701 0.4791 0.3417
Mn7 0.4706 0.1911 0.5099
Mn8 0.4721 0.1842 0.1747
Mn9 0.4728 0.1800 0.8429
Mn10 0.4824 0.4739 0.0147
Mn11 0.9787 0.6859 0.1639
Mn12 0.9958 0.0061 0.3330
O1 0.1910 0.9458 0.2222
O2 0.1984 0.9532 0.8905
O3 0.2065 0.9523 0.5577
O4 0.2087 0.7247 0.0564
O5 0.2094 0.7320 0.3912
O6 0.2142 0.7270 0.7222
O7 0.2560 0.2403 0.7350
O8 0.2595 0.2330 0.0662
O9 0.2602 0.4486 0.5643
O10 0.2629 0.2396 0.4036
O11 0.6953 0.2196 0.2820
O12 0.6985 0.4563 0.1174
O13 0.6999 0.2216 0.6157
O14 0.7063 0.2235 0.9486
F1 0.2134 0.4473 0.2323
F2 0.2485 0.4572 0.9056
F3 0.7107 0.4649 0.7829
F4 0.7257 0.7112 0.2774
F5 0.7356 0.7075 0.9433
F6 0.7401 0.4607 0.4540
F7 0.7437 0.7087 0.6110
F8 0.7445 0.9647 0.4469
F9 0.7451 0.9587 0.1038
F10 0.7488 0.9644 0.7732
```

=====

First-principles (PBE+U) data for an optimized crystal structure of Mn3O5F, as listed in the Materials Project.

Energy of formation from the pure elements: -1.9458 eV per atom
Energy above the most stable polymorph in this dataset: 4.6 meV/atom

Cell and atoms, written as CIF:
```
data_Mn3O5F
_symmetry_space_group_name_H-M 'C 1 2/m 1'
_symmetry_Int_Tables_number 12
_cell_length_a 8.9154
_cell_length_b 6.3202
_cell_length_c 7.1787
_cell_angle_alpha 90.00
_cell_angle_beta 112.92
_cell_angle_gamma 90.00
loop_
_symmetry_equiv_pos_as_xyz
'x,y,z'
'-x,-y,-z'
'-x,y,-z'
'x,-y,z'
'x+1/2,y+1/2,z'
'-x+1/2,-y+1/2,-z'
'-x+1/2,y+1/2,-z'
'x+1/2,-y+1/2,z'
loop_
_atom_site_label
_atom_site_fract_x
_atom_site_fract_y
_atom_site_fract_z
Mn1 0.0000 0.0000 0.0000
Mn2 0.0000 0.0000 0.5000
Mn3 0.1573 0.5000 0.1791
Mn4 0.1696 0.5000 0.6558
O1 0.0000 0.3066 0.0000
O2 0.0607 0.5000 0.3705
O3 0.1037 0.0000 0.2980
O4 0.1673 0.1938 0.6709
F1 0.2453 0.0000 0.0374
```

=====

First-principles (PBE+U) data for an optimized crystal structure of Mn6O7F5, as listed in the Materials Project.

Energy of formation from the pure elements: -2.2038 eV per atom
Energy above the most stable polymorph in this dataset: 38.2 meV/atom

Cell and atoms, written as CIF:
```
data_Mn6O7F5
_symmetry_space_group_name_H-M 'P 1'
_symmetry_Int_Tables_number 1
_cell_length_a 4.6010
_cell_length_b 5.6409
_cell_length_c 15.3251
_cell_angle_alpha 89.87
_cell_angle_beta 89.68
_cell_angle_gamma 89.29
loop_
_symmetry_equiv_pos_as_xyz
'x,y,z'
loop_
_atom_site_label
_atom_site_fract_x
_atom_site_fract_y
_atom_site_fract_z
Mn1 0.0000 0.0000 0.0000
Mn2 0.0014 0.0029 0.6610
Mn3 0.0102 0.3017 0.4948
Mn4 0.0133 0.0127 0.3349
Mn5 0.0127 0.2953 0.1620
Mn6 0.5095 0.8045 0.1542
Mn7 0.5180 0.7965 0.4822
Mn8 0.5252 0.4820 0.6529
Mn9 0.5357 0.4821 0.3175
Mn10 0.5544 0.4946 0.9922
Mn11 0.5634 0.8009 0.8240
Mn12 0.9906 0.2932 0.8272
O1 0.2291 0.2632 0.6032
O2 0.2325 0.0295 0.1039
O3 0.2348 0.0273 0.4377
O4 0.2375 0.2590 0.2699
O5 0.7266 0.5302 0.2082
O6 0.7294 0.5379 0.5431
O7 0.7395 0.7630 0.0467
O8 0.7415 0.7554 0.7108
O9 0.7465 0.7597 0.3758
O10 0.7487 0.5330 0.8801
O11 0.7863 0.2502 0.7220
O12 0.7882 0.2561 0.0535
O13 0.7920 0.2566 0.3870
O14 0.8030 0.0395 0.8874
F1 0.2539 0.2759 0.9343
F2 0.2593 0.7703 0.5969
F3 0.2589 0.7736 0.2657
F4 0.2713 0.0321 0.7761
F5 0.2724 0.5225 0.7675
F6 0.2718 0.5284 0.0919
F7 0.2840 0.5237 0.4241
F8 0.2836 0.7731 0.9338
F9 0.7467 0.0371 0.5506
F10 0.7676 0.0283 0.2287
```

=====

First-principles (PBE+U) data for an optimized crystal structure of Mn6O7F5, as listed in the Materials Project.

Energy of formation from the pure elements: -2.2074 eV per atom
Energy above the most stable polymorph in this dataset: 34.6 meV/atom

Cell and atoms, written as CIF:
```
data_Mn6O7F5
_symmetry_space_group_name_H-M 'P 1'
_symmetry_Int_Tables_number 1
_cell_length_a 4.5683
_cell_length_b 5.6429
_cell_length_c 15.3151
_cell_angle_alpha 89.74
_cell_angle_beta 89.86
_cell_angle_gamma 89.17
loop_
_symmetry_equiv_pos_as_xyz
'x,y,z'
loop_
_atom_site_label
_atom_site_fract_x
_atom_site_fract_y
_atom_site_fract_z
Mn1 0.0000 0.0000 0.0000
Mn2 0.0007 0.0191 0.3399
Mn3 0.0072 0.7262 0.4974
Mn4 0.0159 0.0144 0.6656
Mn5 0.0282 0.7428 0.1664
Mn6 0.5058 0.5185 0.6816
Mn7 0.5081 0.2096 0.8493
Mn8 0.5158 0.5185 0.3475
Mn9 0.5209 0.1877 0.1807
Mn10 0.5245 0.5294 0.0073
Mn11 0.5310 0.2073 0.5135
Mn12 0.9980 0.7168 0.8363
O1 0.2182 0.7462 0.7268
O2 0.2226 0.9806 0.8945
O3 0.2237 0.7444 0.3931
O4 0.2264 0.9888 0.2316
O5 0.2349 0.9739 0.5594
O6 0.2437 0.7569 0.0590
O7 0.7163 0.4787 0.7905
O8 0.7230 0.2537 0.2907
O9 0.7240 0.2473 0.6221
O10 0.7312 0.2505 0.9549
O11 0.7403 0.4786 0.4550
O12 0.7765 0.7638 0.9448
O13 0.7809 0.9676 0.4459
O14 0.7918 0.9673 0.1097
F1 0.2531 0.4781 0.9034
F2 0.2591 0.2442 0.7422
F3 0.2591 0.4905 0.5681
F4 0.2683 0.4995 0.2297
F5 0.2697 0.2485 0.0644
F6 0.2795 0.2457 0.4090
F7 0.7506 0.4723 0.1240
F8 0.7556 0.9829 0.7701
F9 0.7617 0.7478 0.2701
F10 0.7659 0.7431 0.6044
```

=====

Question: The highest energy above the most stable polymorph in this dataset belongs to which entry?
Answer: number 1